## 1
# GGA-PBE Sr2LiTa2N2O4, optimized geometry
# Theoretical density ... 7474 kg/m3
# Size of the total moment ... 0.000 μB/f.u.
data_Sr2LiTa2N2O4
_space_group_name_H-M_alt 'P 1'
_space_group_IT_number 1
_space_group_name_Hall 'P 1'
_cell_length_a 5.887
_cell_length_b 5.782
_cell_length_c 5.875
_cell_angle_alpha 60.66
_cell_angle_beta 58.88
_cell_angle_gamma 60.46
loop_
_atom_site_label
_atom_site_type_symbol
_atom_site_fract_x
_atom_site_fract_y
_atom_site_fract_z
Sr1 Sr 0.213 0.787 0.213
Sr2 Sr 0.787 0.213 0.787
Li1 Li 0.427 0.427 0.573
Ta1 Ta 0.489 0.976 0.511
Ta2 Ta 0.976 0.489 0.024
N1 N 0.231 0.231 0.269
N2 N 0.731 0.731 0.769
O1 O 0.205 0.205 0.795
O2 O 0.265 0.700 0.735
O3 O 0.700 0.265 0.300
O4 O 0.766 0.766 0.234


## 2
# GGA-PBE Sr2LiTa2N2O4, optimized geometry
# Theoretical density ... 7494 kg/m3
# Size of the total moment ... 0.000 μB/f.u.
data_Sr2LiTa2N2O4
_space_group_name_H-M_alt 'P 1'
_space_group_IT_number 1
_space_group_name_Hall 'P 1'
_cell_length_a 5.779
_cell_length_b 5.779
_cell_length_c 5.893
_cell_angle_alpha 119.81
_cell_angle_beta 119.81
_cell_angle_gamma 89.14
loop_
_atom_site_label
_atom_site_type_symbol
_atom_site_fract_x
_atom_site_fract_y
_atom_site_fract_z
Sr1 Sr 0.199 0.199 0.408
Sr2 Sr 0.801 0.801 0.592
Li1 Li 0.500 0.500 0.000
Ta1 Ta 0.000 0.500 0.000
Ta2 Ta 0.500 0.000 0.000
N1 N 0.249 0.751 0.000
N2 N 0.751 0.249 0.000
O1 O 0.229 0.771 0.500
O2 O 0.274 0.274 0.037
O3 O 0.726 0.726 0.963
O4 O 0.771 0.229 0.500


Quick one: most stable of them? 2


## 1
# GGA-PBE LiPbN, optimized geometry
# Theoretical density ... 7115 kg/m3
# Size of the total moment ... 0.000 μB/f.u.
data_LiPbN
_space_group_name_H-M_alt 'P 1'
_space_group_IT_number 1
_space_group_name_Hall 'P 1'
_cell_length_a 11.367
_cell_length_b 3.363
_cell_length_c 5.571
_cell_angle_alpha 90.00
_cell_angle_beta 90.00
_cell_angle_gamma 90.00
loop_
_atom_site_label
_atom_site_type_symbol
_atom_site_fract_x
_atom_site_fract_y
_atom_site_fract_z
Li1 Li 0.070 0.250 0.031
Li2 Li 0.430 0.750 0.531
Li3 Li 0.570 0.250 0.469
Li4 Li 0.930 0.750 0.969
Pb1 Pb 0.131 0.250 0.500
Pb2 Pb 0.369 0.750 0.000
Pb3 Pb 0.631 0.250 0.000
Pb4 Pb 0.869 0.750 0.500
N1 N 0.044 0.750 0.256
N2 N 0.456 0.250 0.756
N3 N 0.544 0.750 0.244
N4 N 0.956 0.250 0.744


## 2
# GGA-PBE LiPbN, optimized geometry
# Theoretical density ... 7090 kg/m3
# Size of the total moment ... 0.000 μB/f.u.
data_LiPbN
_space_group_name_H-M_alt 'P 1'
_space_group_IT_number 1
_space_group_name_Hall 'P 1'
_cell_length_a 3.711
_cell_length_b 3.711
_cell_length_c 4.481
_cell_angle_alpha 90.00
_cell_angle_beta 90.00
_cell_angle_gamma 120.00
loop_
_atom_site_label
_atom_site_type_symbol
_atom_site_fract_x
_atom_site_fract_y
_atom_site_fract_z
Li1 Li 0.000 0.000 0.000
Pb1 Pb 0.667 0.333 0.500
N1 N 0.667 0.333 0.000


Quick one: most stable of them? 1


## 1
# GGA-PBE LiReN2, optimized geometry
# Theoretical density ... 7221 kg/m3
# Size of the total moment ... 0.000 μB/f.u.
data_LiReN2
_space_group_name_H-M_alt 'P 1'
_space_group_IT_number 1
_space_group_name_Hall 'P 1'
_cell_length_a 5.772
_cell_length_b 10.511
_cell_length_c 13.412
_cell_angle_alpha 90.00
_cell_angle_beta 90.00
_cell_angle_gamma 90.00
loop_
_atom_site_label
_atom_site_type_symbol
_atom_site_fract_x
_atom_site_fract_y
_atom_site_fract_z
Li1 Li 0.104 0.028 0.076
Li2 Li 0.104 0.472 0.576
Li3 Li 0.218 0.743 0.690
Li4 Li 0.218 0.757 0.190
Li5 Li 0.282 0.243 0.690
Li6 Li 0.282 0.257 0.190
Li7 Li 0.396 0.528 0.076
Li8 Li 0.396 0.972 0.576
Li9 Li 0.604 0.028 0.424
Li10 Li 0.604 0.472 0.924
Li11 Li 0.718 0.743 0.810
Li12 Li 0.718 0.757 0.310
Li13 Li 0.782 0.243 0.810
Li14 Li 0.782 0.257 0.310
Li15 Li 0.896 0.528 0.424
Li16 Li 0.896 0.972 0.924
Re1 Re 0.106 0.506 0.818
Re2 Re 0.106 0.994 0.318
Re3 Re 0.195 0.715 0.922
Re4 Re 0.195 0.785 0.422
Re5 Re 0.305 0.215 0.922
Re6 Re 0.305 0.285 0.422
Re7 Re 0.394 0.006 0.818
Re8 Re 0.394 0.494 0.318
Re9 Re 0.606 0.506 0.682
Re10 Re 0.606 0.994 0.182
Re11 Re 0.695 0.715 0.578
Re12 Re 0.695 0.785 0.078
Re13 Re 0.805 0.215 0.578
Re14 Re 0.805 0.285 0.078
Re15 Re 0.894 0.006 0.682
Re16 Re 0.894 0.494 0.182
N1 N 0.084 0.221 0.042
N2 N 0.084 0.279 0.542
N3 N 0.138 0.185 0.335
N4 N 0.138 0.315 0.835
N5 N 0.212 0.024 0.700
N6 N 0.212 0.476 0.200
N7 N 0.236 0.030 0.940
N8 N 0.236 0.470 0.440
N9 N 0.264 0.530 0.940
N10 N 0.264 0.970 0.440
N11 N 0.288 0.524 0.700
N12 N 0.288 0.976 0.200
N13 N 0.362 0.685 0.335
N14 N 0.362 0.815 0.835
N15 N 0.416 0.721 0.042
N16 N 0.416 0.779 0.542
N17 N 0.584 0.221 0.458
N18 N 0.584 0.279 0.958
N19 N 0.638 0.185 0.165
N20 N 0.638 0.315 0.665
N21 N 0.712 0.024 0.800
N22 N 0.712 0.476 0.300
N23 N 0.736 0.030 0.560
N24 N 0.736 0.470 0.060
N25 N 0.764 0.530 0.560
N26 N 0.764 0.970 0.060
N27 N 0.788 0.524 0.800
N28 N 0.788 0.976 0.300
N29 N 0.862 0.685 0.165
N30 N 0.862 0.815 0.665
N31 N 0.916 0.721 0.458
N32 N 0.916 0.779 0.958


## 2
# GGA-PBE LiReN2, optimized geometry
# Theoretical density ... 7179 kg/m3
# Size of the total moment ... 0.000 μB/f.u.
data_LiReN2
_space_group_name_H-M_alt 'P 1'
_space_group_IT_number 1
_space_group_name_Hall 'P 1'
_cell_length_a 4.681
_cell_length_b 4.681
_cell_length_c 9.338
_cell_angle_alpha 90.00
_cell_angle_beta 90.00
_cell_angle_gamma 90.00
loop_
_atom_site_label
_atom_site_type_symbol
_atom_site_fract_x
_atom_site_fract_y
_atom_site_fract_z
Li1 Li 0.000 0.000 0.000
Li2 Li 0.000 0.500 0.250
Li3 Li 0.500 0.000 0.750
Li4 Li 0.500 0.500 0.500
Re1 Re 0.000 0.000 0.500
Re2 Re 0.000 0.500 0.750
Re3 Re 0.500 0.000 0.250
Re4 Re 0.500 0.500 0.000
N1 N 0.201 0.750 0.625
N2 N 0.250 0.201 0.375
N3 N 0.250 0.299 0.875
N4 N 0.299 0.750 0.125
N5 N 0.701 0.250 0.125
N6 N 0.750 0.701 0.875
N7 N 0.750 0.799 0.375
N8 N 0.799 0.250 0.625


## 3
# GGA-PBE LiReN2, optimized geometry
# Theoretical density ... 7188 kg/m3
# Size of the total moment ... 0.000 μB/f.u.
data_LiReN2
_space_group_name_H-M_alt 'P 1'
_space_group_IT_number 1
_space_group_name_Hall 'P 1'
_cell_length_a 5.624
_cell_length_b 6.545
_cell_length_c 5.552
_cell_angle_alpha 90.00
_cell_angle_beta 90.00
_cell_angle_gamma 90.00
loop_
_atom_site_label
_atom_site_type_symbol
_atom_site_fract_x
_atom_site_fract_y
_atom_site_fract_z
Li1 Li 0.087 0.123 0.000
Li2 Li 0.413 0.623 0.500
Li3 Li 0.587 0.377 0.000
Li4 Li 0.913 0.877 0.500
Re1 Re 0.069 0.631 0.008
Re2 Re 0.431 0.131 0.508
Re3 Re 0.569 0.869 0.008
Re4 Re 0.931 0.369 0.508
N1 N 0.055 0.602 0.348
N2 N 0.105 0.140 0.396
N3 N 0.395 0.640 0.896
N4 N 0.445 0.102 0.848
N5 N 0.555 0.898 0.348
N6 N 0.605 0.360 0.396
N7 N 0.895 0.860 0.896
N8 N 0.945 0.398 0.848


Quick one: most stable of them? 1


## 1
# GGA-PBE Li3RuN2, optimized geometry
# Theoretical density ... 3386 kg/m3
# Size of the total moment ... 0.294 μB/f.u.
data_Li3RuN2
_space_group_name_H-M_alt 'P 1'
_space_group_IT_number 1
_space_group_name_Hall 'P 1'
_cell_length_a 8.786
_cell_length_b 8.786
_cell_length_c 8.786
_cell_angle_alpha 138.56
_cell_angle_beta 138.56
_cell_angle_gamma 60.05
loop_
_atom_site_label
_atom_site_type_symbol
_atom_site_fract_x
_atom_site_fract_y
_atom_site_fract_z
Li1 Li 0.078 0.328 0.156
Li2 Li 0.078 0.922 0.750
Li3 Li 0.268 0.518 0.750
Li4 Li 0.328 0.078 0.656
Li5 Li 0.328 0.672 0.250
Li6 Li 0.482 0.732 0.750
Li7 Li 0.518 0.268 0.250
Li8 Li 0.672 0.328 0.750
Li9 Li 0.672 0.922 0.344
Li10 Li 0.732 0.482 0.250
Li11 Li 0.922 0.078 0.250
Li12 Li 0.922 0.672 0.844
Ru1 Ru 0.015 0.265 0.750
Ru2 Ru 0.265 0.015 0.250
Ru3 Ru 0.735 0.985 0.750
Ru4 Ru 0.985 0.735 0.250
N1 N 0.034 0.391 0.644
N2 N 0.247 0.391 0.856
N3 N 0.391 0.034 0.144
N4 N 0.391 0.247 0.356
N5 N 0.609 0.753 0.644
N6 N 0.609 0.966 0.856
N7 N 0.753 0.609 0.144
N8 N 0.966 0.609 0.356


## 2
# GGA-PBE Li3RuN2, optimized geometry
# Theoretical density ... 4289 kg/m3
# Size of the total moment ... 0.000 μB/f.u.
data_Li3RuN2
_space_group_name_H-M_alt 'P 1'
_space_group_IT_number 1
_space_group_name_Hall 'P 1'
_cell_length_a 8.449
_cell_length_b 8.449
_cell_length_c 8.449
_cell_angle_alpha 109.47
_cell_angle_beta 109.47
_cell_angle_gamma 109.47
loop_
_atom_site_label
_atom_site_type_symbol
_atom_site_fract_x
_atom_site_fract_y
_atom_site_fract_z
Li1 Li 0.011 0.976 0.238
Li2 Li 0.024 0.762 0.989
Li3 Li 0.035 0.511 0.274
Li4 Li 0.226 0.738 0.762
Li5 Li 0.238 0.011 0.976
Li6 Li 0.238 0.774 0.262
Li7 Li 0.262 0.238 0.774
Li8 Li 0.262 0.524 0.535
Li9 Li 0.274 0.035 0.511
Li10 Li 0.465 0.738 0.476
Li11 Li 0.476 0.465 0.738
Li12 Li 0.489 0.726 0.965
Li13 Li 0.511 0.274 0.035
Li14 Li 0.524 0.535 0.262
Li15 Li 0.535 0.262 0.524
Li16 Li 0.726 0.965 0.489
Li17 Li 0.738 0.476 0.465
Li18 Li 0.738 0.762 0.226
Li19 Li 0.762 0.226 0.738
Li20 Li 0.762 0.989 0.024
Li21 Li 0.774 0.262 0.238
Li22 Li 0.965 0.489 0.726
Li23 Li 0.976 0.238 0.011
Li24 Li 0.989 0.024 0.762
Ru1 Ru 0.000 0.231 0.500
Ru2 Ru 0.000 0.769 0.500
Ru3 Ru 0.231 0.500 0.000
Ru4 Ru 0.269 0.269 0.269
Ru5 Ru 0.500 0.000 0.231
Ru6 Ru 0.500 0.000 0.769
Ru7 Ru 0.731 0.731 0.731
Ru8 Ru 0.769 0.500 0.000
N1 N 0.000 0.000 0.500
N2 N 0.000 0.500 0.000
N3 N 0.020 0.250 0.270
N4 N 0.230 0.480 0.750
N5 N 0.250 0.270 0.020
N6 N 0.250 0.770 0.520
N7 N 0.270 0.020 0.250
N8 N 0.480 0.750 0.230
N9 N 0.500 0.000 0.000
N10 N 0.500 0.500 0.500
N11 N 0.520 0.250 0.770
N12 N 0.730 0.980 0.750
N13 N 0.750 0.230 0.480
N14 N 0.750 0.730 0.980
N15 N 0.770 0.520 0.250
N16 N 0.980 0.750 0.730


Quick one: most stable of them? 2


## 1
# GGA-PBE LiSnN, optimized geometry
# Theoretical density ... 4965 kg/m3
# Size of the total moment ... 0.002 μB/f.u.
data_LiSnN
_space_group_name_H-M_alt 'P 1'
_space_group_IT_number 1
_space_group_name_Hall 'P 1'
_cell_length_a 3.277
_cell_length_b 3.277
_cell_length_c 10.046
_cell_angle_alpha 90.00
_cell_angle_beta 90.00
_cell_angle_gamma 120.00
loop_
_atom_site_label
_atom_site_type_symbol
_atom_site_fract_x
_atom_site_fract_y
_atom_site_fract_z
Li1 Li 0.333 0.667 0.000
Li2 Li 0.667 0.333 0.500
Sn1 Sn 0.000 0.000 0.269
Sn2 Sn 0.000 0.000 0.769
N1 N 0.333 0.667 0.386
N2 N 0.667 0.333 0.886


## 2
# GGA-PBE LiSnN, optimized geometry
# Theoretical density ... 4778 kg/m3
# Size of the total moment ... 0.000 μB/f.u.
data_LiSnN
_space_group_name_H-M_alt 'P 1'
_space_group_IT_number 1
_space_group_name_Hall 'P 1'
_cell_length_a 3.639
_cell_length_b 3.639
_cell_length_c 4.233
_cell_angle_alpha 90.00
_cell_angle_beta 90.00
_cell_angle_gamma 120.00
loop_
_atom_site_label
_atom_site_type_symbol
_atom_site_fract_x
_atom_site_fract_y
_atom_site_fract_z
Li1 Li 0.000 0.000 0.000
Sn1 Sn 0.667 0.333 0.500
N1 N 0.667 0.333 0.000


## 3
# GGA-PBE LiSnN, optimized geometry
# Theoretical density ... 4943 kg/m3
# Size of the total moment ... 0.000 μB/f.u.
data_LiSnN
_space_group_name_H-M_alt 'P 1'
_space_group_IT_number 1
_space_group_name_Hall 'P 1'
_cell_length_a 10.289
_cell_length_b 3.241
_cell_length_c 5.627
_cell_angle_alpha 90.00
_cell_angle_beta 90.00
_cell_angle_gamma 90.00
loop_
_atom_site_label
_atom_site_type_symbol
_atom_site_fract_x
_atom_site_fract_y
_atom_site_fract_z
Li1 Li 0.090 0.250 0.007
Li2 Li 0.410 0.750 0.507
Li3 Li 0.590 0.250 0.493
Li4 Li 0.910 0.750 0.993
Sn1 Sn 0.134 0.250 0.474
Sn2 Sn 0.366 0.750 0.974
Sn3 Sn 0.634 0.250 0.026
Sn4 Sn 0.866 0.750 0.526
N1 N 0.034 0.750 0.273
N2 N 0.466 0.250 0.773
N3 N 0.534 0.750 0.227
N4 N 0.966 0.250 0.727


Quick one: most stable of them? 1


## 1
# GGA-PBE Na5Li3Ti5O14, optimized geometry
# Theoretical density ... 3401 kg/m3
# Largest piezoelectric modulus ... 1.5 C/m²
# Size of the total moment ... 0.000 μB/f.u.
data_Na5Li3Ti5O14
_space_group_name_H-M_alt 'P 1'
_space_group_IT_number 1
_space_group_name_Hall 'P 1'
_cell_length_a 5.228
_cell_length_b 7.038
_cell_length_c 8.193
_cell_angle_alpha 88.48
_cell_angle_beta 78.25
_cell_angle_gamma 82.38
loop_
_atom_site_label
_atom_site_type_symbol
_atom_site_fract_x
_atom_site_fract_y
_atom_site_fract_z
Na1 Na 0.000 0.000 0.000
Na2 Na 0.139 0.709 0.695
Na3 Na 0.394 0.146 0.136
Na4 Na 0.562 0.866 0.854
Na5 Na 0.847 0.273 0.273
Li1 Li 0.268 0.432 0.428
Li2 Li 0.350 0.298 0.780
Li3 Li 0.716 0.566 0.556
Ti1 Ti 0.195 0.577 0.079
Ti2 Ti 0.496 0.011 0.497
Ti3 Ti 0.622 0.719 0.229
Ti4 Ti 0.778 0.426 0.904
Ti5 Ti 0.928 0.143 0.624
O1 O 0.085 0.327 0.010
O2 O 0.178 0.157 0.423
O3 O 0.233 0.018 0.710
O4 O 0.332 0.813 0.112
O5 O 0.444 0.721 0.450
O6 O 0.464 0.554 0.844
O7 O 0.515 0.457 0.160
O8 O 0.607 0.256 0.535
O9 O 0.687 0.974 0.263
O10 O 0.700 0.178 0.869
O11 O 0.790 0.909 0.598
O12 O 0.889 0.689 0.982
O13 O 0.953 0.577 0.288
O14 O 0.984 0.421 0.682


## 2
# GGA-PBE Na5Li3Ti5O14, optimized geometry
# Theoretical density ... 3360 kg/m3
# Size of the total moment ... 0.000 μB/f.u.
data_Na5Li3Ti5O14
_space_group_name_H-M_alt 'P 1'
_space_group_IT_number 1
_space_group_name_Hall 'P 1'
_cell_length_a 5.234
_cell_length_b 7.042
_cell_length_c 8.266
_cell_angle_alpha 90.37
_cell_angle_beta 101.44
_cell_angle_gamma 97.32
loop_
_atom_site_label
_atom_site_type_symbol
_atom_site_fract_x
_atom_site_fract_y
_atom_site_fract_z
Na1 Na 0.000 0.000 0.000
Na2 Na 0.144 0.309 0.312
Na3 Na 0.397 0.846 0.849
Na4 Na 0.560 0.136 0.142
Na5 Na 0.838 0.712 0.714
Li1 Li 0.055 0.151 0.642
Li2 Li 0.345 0.706 0.219
Li3 Li 0.705 0.442 0.441
Ti1 Ti 0.185 0.429 0.925
Ti2 Ti 0.495 0.987 0.496
Ti3 Ti 0.611 0.279 0.769
Ti4 Ti 0.761 0.576 0.087
Ti5 Ti 0.934 0.858 0.369
O1 O 0.084 0.673 0.980
O2 O 0.167 0.881 0.575
O3 O 0.237 0.981 0.285
O4 O 0.319 0.179 0.876
O5 O 0.432 0.267 0.554
O6 O 0.455 0.448 0.153
O7 O 0.524 0.536 0.853
O8 O 0.613 0.752 0.455
O9 O 0.695 0.827 0.123
O10 O 0.702 0.025 0.731
O11 O 0.795 0.103 0.404
O12 O 0.891 0.313 0.021
O13 O 0.944 0.404 0.715
O14 O 0.971 0.592 0.306


Quick one: most stable of them? 2